Ba3ScN3 | the Materials Project | PBE | relaxed; E_form = -0.731 eV/atom; final energy = -82.26 eV per cell
1.0
8.552 0.000 0.000
-4.276 7.406 0.000
0.000 0.000 5.676
Ba Sc N
6 2 6
direct
0.931 0.648 0.250 Ba
0.717 0.069 0.250 Ba
0.352 0.283 0.250 Ba
0.069 0.352 0.750 Ba
0.283 0.931 0.750 Ba
0.648 0.717 0.750 Ba
0.667 0.333 0.750 Sc
0.333 0.667 0.250 Sc
0.881 0.593 0.750 N
0.713 0.119 0.750 N
0.407 0.287 0.750 N
0.119 0.407 0.250 N
0.287 0.881 0.250 N
0.593 0.713 0.250 N

---

Ga4Cu9 | the Materials Project | PBE | relaxed; E_form = -0.108 eV/atom; final energy = -201.64 eV per cell
1.0
-7.972 -2.505 -2.573
1.067 -7.635 4.125
-3.428 3.447 7.267
Ga Cu
16 36
direct
0.881 0.881 0.119 Ga
0.881 0.119 0.881 Ga
0.119 0.881 0.881 Ga
0.119 0.119 0.119 Ga
0.465 0.191 0.809 Ga
0.191 0.191 0.535 Ga
0.191 0.465 0.809 Ga
0.465 0.809 0.191 Ga
0.191 0.809 0.465 Ga
0.191 0.535 0.191 Ga
0.535 0.191 0.191 Ga
0.809 0.191 0.465 Ga
0.809 0.465 0.191 Ga
0.535 0.809 0.809 Ga
0.809 0.809 0.535 Ga
0.809 0.535 0.809 Ga
0.172 0.172 0.828 Cu
0.172 0.828 0.172 Cu
0.828 0.172 0.172 Cu
0.828 0.828 0.828 Cu
0.395 0.395 0.605 Cu
0.395 0.605 0.395 Cu
0.605 0.395 0.395 Cu
0.605 0.605 0.605 Cu
0.674 0.674 0.326 Cu
0.674 0.326 0.674 Cu
0.326 0.674 0.674 Cu
0.326 0.326 0.326 Cu
0.000 0.000 0.356 Cu
0.000 0.644 0.000 Cu
0.644 0.000 0.000 Cu
0.000 0.000 0.644 Cu
0.000 0.356 0.000 Cu
0.356 0.000 0.000 Cu
0.500 0.500 0.857 Cu
0.500 0.143 0.500 Cu
0.143 0.500 0.500 Cu
0.500 0.500 0.143 Cu
0.500 0.857 0.500 Cu
0.857 0.500 0.500 Cu
0.967 0.685 0.315 Cu
0.685 0.685 0.033 Cu
0.685 0.967 0.315 Cu
0.967 0.315 0.685 Cu
0.685 0.315 0.967 Cu
0.685 0.033 0.685 Cu
0.033 0.685 0.685 Cu
0.315 0.685 0.967 Cu
0.315 0.967 0.685 Cu
0.033 0.315 0.315 Cu
0.315 0.315 0.033 Cu
0.315 0.033 0.315 Cu

---

Sn3O4 | the Materials Project | PBE | relaxed; E_form = -1.579 eV/atom; final energy = -80.26 eV per cell
1.0
-0.549 0.000 -6.079
0.000 -5.854 0.000
-7.161 0.000 0.661
Sn O
6 8
direct
0.759 0.501 0.201 Sn
0.741 0.501 0.799 Sn
0.241 0.499 0.799 Sn
0.259 0.499 0.201 Sn
0.000 0.000 0.500 Sn
0.500 0.000 0.500 Sn
0.009 0.719 0.289 O
0.491 0.719 0.711 O
0.991 0.281 0.711 O
0.509 0.281 0.289 O
0.992 0.733 0.729 O
0.508 0.733 0.271 O
0.008 0.267 0.271 O
0.492 0.267 0.729 O

---

KS | the Materials Project | PBE | relaxed; E_form = -0.713 eV/atom; final energy = -6.17 eV per cell
1.0
-0.330 -1.446 -3.539
-2.909 -2.210 1.174
-2.481 2.784 -0.906
K S
1 1
direct
0.000 0.000 0.000 K
0.500 0.500 0.500 S